# 1
The following is a PBE calculation of a relaxed structure of Sr2LaNbO6, from the Materials Project database.

Structure (CIF):
```
data_Sr2LaNbO6
_chemical_formula_sum 'Sr8 La4 Nb4 O24'
_space_group_name_H-M_alt 'F m -3 m'
_space_group_IT_number 225
_space_group_name_Hall '-F 4 2 3'
_cell_length_a 8.687
_cell_length_b 8.687
_cell_length_c 8.687
_cell_angle_alpha 90.00
_cell_angle_beta 90.00
_cell_angle_gamma 90.00
loop_
_atom_site_label
_atom_site_type_symbol
_atom_site_fract_x
_atom_site_fract_y
_atom_site_fract_z
Sr1 Sr 0.250 0.250 0.250
La1 La 0.000 0.000 0.000
Nb1 Nb 0.000 0.000 0.500
O1 O 0.000 0.000 0.269
```

***

# 2
The following is a PBE calculation of a relaxed structure of Sr2LaNbO6, from the Materials Project database.

Structure (CIF):
```
data_Sr2LaNbO6
_chemical_formula_sum 'Sr8 La4 Nb4 O24'
_space_group_name_H-M_alt 'P n -3'
_space_group_IT_number 201
_cell_length_a 8.568
_cell_length_b 8.568
_cell_length_c 8.568
_cell_angle_alpha 90.00
_cell_angle_beta 90.00
_cell_angle_gamma 90.00
loop_
_space_group_symop_operation_xyz
'x,y,z'
'-x,-y,-z'
'-x+1/2,-y+1/2,z'
'x+1/2,y+1/2,-z'
'x,-y+1/2,-z+1/2'
'-x,y+1/2,z+1/2'
'-x+1/2,y,-z+1/2'
'x+1/2,-y,z+1/2'
'z,x,y'
'-z,-x,-y'
'z,-x+1/2,-y+1/2'
'-z,x+1/2,y+1/2'
'-z+1/2,x,-y+1/2'
'z+1/2,-x,y+1/2'
'-z+1/2,-x+1/2,y'
'z+1/2,x+1/2,-y'
'y,z,x'
'-y,-z,-x'
'-y+1/2,z,-x+1/2'
'y+1/2,-z,x+1/2'
'-y+1/2,-z+1/2,x'
'y+1/2,z+1/2,-x'
'y,-z+1/2,-x+1/2'
'-y,z+1/2,x+1/2'
loop_
_atom_site_label
_atom_site_type_symbol
_atom_site_fract_x
_atom_site_fract_y
_atom_site_fract_z
Sr1 Sr 0.250 0.250 0.250
Sr2 Sr 0.250 0.250 0.750
La1 La 0.000 0.000 0.000
Nb1 Nb 0.000 0.000 0.500
O1 O 0.038 0.548 0.771
```

***

# 3
The following is a PBE calculation of a relaxed structure of Sr2LaTi2Nb3O15, from the Materials Project database.

Structure (CIF):
```
data_Sr2LaTi2Nb3O15
_chemical_formula_sum 'Sr4 La2 Ti4 Nb6 O30'
_space_group_name_H-M_alt 'P b a m'
_space_group_IT_number 55
_space_group_name_Hall '-P 2 2ab'
_cell_length_a 12.440
_cell_length_b 12.531
_cell_length_c 3.960
_cell_angle_alpha 90.00
_cell_angle_beta 90.00
_cell_angle_gamma 90.00
loop_
_atom_site_label
_atom_site_type_symbol
_atom_site_fract_x
_atom_site_fract_y
_atom_site_fract_z
Sr1 Sr 0.170 0.168 0.000
La1 La 0.000 0.500 0.000
Ti1 Ti 0.211 0.421 0.500
Nb1 Nb 0.000 0.000 0.500
Nb2 Nb 0.080 0.711 0.500
O1 O 0.000 0.000 0.000
O2 O 0.013 0.160 0.500
O3 O 0.062 0.369 0.500
O4 O 0.080 0.700 0.000
O5 O 0.134 0.563 0.500
O6 O 0.160 0.007 0.500
O7 O 0.197 0.422 0.000
O8 O 0.228 0.773 0.500
```

***

# 4
The following is a PBE calculation of a relaxed structure of LaNbTeO6, from the Materials Project database.

Structure (CIF):
```
data_LaNbTeO6
_chemical_formula_sum 'La4 Nb4 Te4 O24'
_space_group_name_H-M_alt 'P -1'
_space_group_IT_number 2
_space_group_name_Hall '-P 1'
_cell_length_a 6.864
_cell_length_b 7.502
_cell_length_c 10.900
_cell_angle_alpha 79.71
_cell_angle_beta 77.02
_cell_angle_gamma 89.78
loop_
_atom_site_label
_atom_site_type_symbol
_atom_site_fract_x
_atom_site_fract_y
_atom_site_fract_z
La1 La 0.170 0.215 0.156
La2 La 0.261 0.361 0.495
Nb1 Nb 0.317 0.046 0.803
Nb2 Nb 0.327 0.541 0.801
Te1 Te 0.170 0.701 0.201
Te2 Te 0.236 0.871 0.497
O1 O 0.000 0.100 0.790
O2 O 0.006 0.482 0.819
O3 O 0.034 0.177 0.405
O4 O 0.106 0.629 0.385
O5 O 0.212 0.786 0.820
O6 O 0.255 0.069 0.970
O7 O 0.317 0.444 0.966
O8 O 0.319 0.046 0.588
O9 O 0.350 0.651 0.572
O10 O 0.357 0.316 0.719
O11 O 0.393 0.389 0.258
O12 O 0.410 0.000 0.222
```

***

What are the energy with MP2020 corrections values for these records? In order: -0.5943 -0.6010 -0.6578 -0.6022 Ry/atom.